Entry 1:
A plane-wave DFT calculation with PBE was carried out for an optimized crystal structure of La2Nb3S2O8.

Cell lengths 7.7201, 9.9977, 11.9625 Å; angles 90.00, 90.00, 90.00 degrees
Positions (direct):
O  0.2634  0.6978  0.5250
O  0.2556  0.5563  0.1052
Nb  0.7128  0.5000  0.5000
La  0.0000  0.2925  0.8401
Nb  0.2502  0.6352  0.9149
O  0.2366  0.1978  0.9750
O  0.2485  0.7137  0.7741
O  0.7515  0.7137  0.7741
O  0.7556  0.0563  0.3948
O  0.5000  0.8668  0.4487
Nb  0.7502  0.8648  0.4149
La  0.5000  0.2687  0.8495
O  0.2444  0.0563  0.3948
O  0.0000  0.3668  0.0513
O  0.2515  0.2137  0.7259
O  0.7556  0.9437  0.6052
S  0.5000  0.4830  0.6536
O  0.2556  0.4437  0.8948
La  0.0000  0.7687  0.6505
S  0.0000  0.4805  0.6345
O  0.5000  0.1332  0.5513
Nb  0.7872  0.0000  0.0000
O  0.7366  0.6978  0.5250
Nb  0.7498  0.3648  0.0851
O  0.2485  0.2863  0.2259
O  0.7515  0.2863  0.2259
O  0.7444  0.5563  0.1052
La  0.0000  0.2313  0.3495
O  0.0000  0.8514  0.4499
O  0.0000  0.6332  0.9487
S  0.0000  0.5195  0.3655
La  0.0000  0.7075  0.1599
Nb  0.2128  0.0000  0.0000
O  0.0000  0.1486  0.5501
Nb  0.2502  0.3648  0.0851
O  0.7634  0.8022  0.0250
O  0.7485  0.7863  0.2741
S  0.5000  0.5170  0.3464
O  0.5000  0.3514  0.0501
O  0.2515  0.7863  0.2741
S  0.5000  0.0195  0.1345
Nb  0.7502  0.1352  0.5851
S  0.0000  0.9830  0.8464
O  0.7485  0.2137  0.7259
Nb  0.7498  0.6352  0.9149
O  0.2634  0.3022  0.4750
O  0.7444  0.4437  0.8948
S  0.5000  0.9805  0.8655
O  0.7634  0.1978  0.9750
La  0.5000  0.7925  0.6599
O  0.7366  0.3022  0.4750
O  0.5000  0.6486  0.9499
S  0.0000  0.0170  0.1536
La  0.5000  0.2075  0.3401
O  0.2444  0.9437  0.6052
Nb  0.2498  0.1352  0.5851
O  0.2366  0.8022  0.0250
La  0.5000  0.7313  0.1505
Nb  0.2498  0.8648  0.4149
Nb  0.2872  0.5000  0.5000

Output
Calculated formation energy: -3.09 eV per atom

Entry 2:
A plane-wave DFT calculation with PBE was carried out for an optimized crystal structure of La3NbSiS5O24.

Cell lengths 9.4850, 9.4914, 24.1855 Å; angles 90.07, 90.18, 119.94 degrees
Positions (direct):
O  0.3024  0.8151  0.2678
O  0.2023  0.0095  0.3053
O  0.3879  0.8785  0.8678
S  0.0243  0.3151  0.2536
O  0.5386  0.6838  0.9714
O  0.1431  0.5241  0.8643
O  0.4899  0.3835  0.4153
O  0.4719  0.1246  0.2433
O  0.2199  0.2089  0.8018
O  0.6651  0.1457  0.1293
S  0.9297  0.6086  0.0783
O  0.8505  0.3727  0.9293
O  0.7874  0.7853  0.3029
O  0.1428  0.4715  0.9711
O  0.4788  0.6219  0.8651
O  0.5334  0.8503  0.4632
Si  0.6129  0.6446  0.9190
O  0.1485  0.6786  0.4633
O  0.3245  0.4714  0.4647
O  0.6113  0.1015  0.4136
O  0.5195  0.8264  0.7665
O  0.1792  0.7004  0.7656
O  0.0562  0.8103  0.7029
O  0.5173  0.6921  0.2661
O  0.4966  0.8483  0.3634
O  0.2264  0.1700  0.0814
La  0.9988  0.9985  0.6527
O  0.9929  0.7856  0.8007
O  0.5291  0.6417  0.5786
O  0.5344  0.9074  0.0726
La  0.0111  0.0036  0.3540
O  0.5166  0.1280  0.9241
O  0.1955  0.2343  0.4076
S  0.9505  0.3247  0.5837
O  0.8898  0.5438  0.7441
O  0.8534  0.3067  0.5329
Nb  0.6732  0.3370  0.9731
O  0.1784  0.4788  0.2669
O  0.4599  0.3511  0.7449
O  0.3570  0.8868  0.5781
O  0.3018  0.4811  0.7663
O  0.7504  0.9414  0.7028
S  0.6754  0.6239  0.5837
O  0.0597  0.2487  0.2042
Si  0.0360  0.3889  0.9179
O  0.2301  0.9994  0.9022
S  0.2920  0.3178  0.7548
O  0.4533  0.1469  0.5330
O  0.6917  0.5439  0.5329
La  0.3339  0.6664  0.5275
S  0.6805  0.0680  0.0782
O  0.1911  0.2494  0.7038
Nb  0.3321  0.6566  0.8239
O  0.4802  0.3392  0.1304
O  0.9338  0.7667  0.0798
La  0.0110  0.9949  0.1418
O  0.0301  0.7963  0.4052
O  0.4779  0.3066  0.0299
O  0.9904  0.2105  0.3024
S  0.3744  0.0505  0.5837
O  0.2112  0.0339  0.5900
O  0.6567  0.5448  0.2460
O  0.6164  0.4690  0.9312
O  0.7669  0.9626  0.4039
O  0.3532  0.5004  0.3647
S  0.6857  0.7107  0.2536
O  0.1676  0.9462  0.1971
O  0.0934  0.6319  0.0719
O  0.1142  0.4708  0.5782
O  0.6916  0.1718  0.0286
O  0.6552  0.5234  0.6329
O  0.0005  0.2137  0.8998
O  0.8937  0.3535  0.2459
O  0.7900  0.7771  0.8996
S  0.3400  0.3965  0.4129
La  0.6682  0.3344  0.6951
O  0.9676  0.1784  0.5903
O  0.8244  0.5151  0.0282
O  0.8960  0.5031  0.4138
S  0.0290  0.7109  0.7542
O  0.3243  0.8699  0.9663
O  0.3670  0.4631  0.0741
O  0.6550  0.1132  0.7437
Si  0.2855  0.9852  0.2508
O  0.7488  0.8125  0.2042
La  0.3366  0.6616  0.0240
O  0.8549  0.5154  0.1289
O  0.8304  0.0571  0.0813
La  0.6650  0.3310  0.4726
La  0.9921  0.9970  0.8629
Nb  0.3325  0.6734  0.3105
O  0.4761  0.1310  0.6330
O  0.1481  0.6440  0.3637
S  0.0542  0.6567  0.4121
S  0.3610  0.9667  0.9161
S  0.3884  0.3207  0.0786
S  0.6812  0.9731  0.7540
O  0.8706  0.3463  0.6329
O  0.8220  0.7872  0.5898
S  0.6053  0.9427  0.4120
O  0.7943  0.0112  0.8002
La  0.6585  0.3246  0.1952

Output
Calculated formation energy: -2.64 eV per atom

Entry 3:
A plane-wave DFT calculation with PBE was carried out for an optimized crystal structure of LaNbSiS2O12.

Cell lengths 9.3611, 9.3734, 23.2332 Å; angles 90.07, 90.00, 119.96 degrees
Positions (direct):
O  0.2252  0.0060  0.9063
O  0.8741  0.4083  0.9254
Nb  0.3391  0.6717  0.3102
O  0.7789  0.8350  0.1989
O  0.1580  0.9395  0.1986
Si  0.5954  0.9586  0.4172
O  0.9988  0.7956  0.8021
O  0.1994  0.9925  0.3020
O  0.6701  0.5340  0.6347
O  0.3294  0.4658  0.4658
O  0.9384  0.1305  0.5945
O  0.6557  0.0915  0.7399
Si  0.9350  0.3112  0.5834
O  0.6072  0.1479  0.4289
S  0.0312  0.7311  0.7505
O  0.7290  0.1750  0.0314
S  0.7019  0.0655  0.0820
O  0.8617  0.0576  0.0907
La  0.9952  0.0108  0.3668
Nb  0.0139  0.0194  0.1427
S  0.6976  0.9635  0.7501
O  0.5734  0.8963  0.0721
O  0.5359  0.6643  0.9679
O  0.5407  0.1479  0.9289
O  0.6118  0.4774  0.9231
La  0.3390  0.6672  0.5333
S  0.0311  0.4042  0.9148
O  0.4908  0.6078  0.8647
O  0.6556  0.5598  0.2416
Si  0.3632  0.9586  0.9172
O  0.1197  0.5136  0.8638
O  0.9866  0.2351  0.9029
O  0.7809  0.0060  0.4063
O  0.4505  0.3428  0.7342
O  0.7256  0.5532  0.5318
O  0.1392  0.1906  0.6928
O  0.1934  0.7264  0.7596
O  0.1170  0.6078  0.3647
O  0.8085  0.2900  0.5264
O  0.7690  0.7670  0.9039
O  0.5737  0.6752  0.5744
Nb  0.6527  0.3293  0.9759
O  0.4460  0.1750  0.5314
O  0.7969  0.7956  0.3021
S  0.2658  0.9635  0.2501
O  0.5342  0.4083  0.4254
O  0.5330  0.7264  0.2596
O  0.2485  0.2351  0.4029
O  0.4358  0.0915  0.2399
O  0.3939  0.5136  0.3638
O  0.6705  0.1305  0.1343
S  0.9300  0.6367  0.0837
O  0.9042  0.5598  0.7416
O  0.1015  0.6752  0.0744
O  0.4813  0.3307  0.1387
Si  0.0313  0.3004  0.2503
O  0.8639  0.5340  0.1347
O  0.8494  0.3307  0.6387
La  0.6664  0.3335  0.6996
S  0.3731  0.4042  0.4148
O  0.8635  0.7979  0.5941
O  0.4600  0.1305  0.6343
O  0.4716  0.8560  0.3609
O  0.0018  0.1835  0.3031
O  0.0562  0.8350  0.6989
O  0.7931  0.9925  0.8020
O  0.3457  0.8577  0.9737
O  0.1922  0.1305  0.0945
La  0.3282  0.6672  0.0333
Nb  0.6766  0.3293  0.4759
O  0.1189  0.4434  0.5682
O  0.9980  0.7670  0.4039
Si  0.2692  0.3004  0.7503
O  0.3229  0.8963  0.5721
O  0.1816  0.1835  0.8031
O  0.5320  0.8014  0.7579
Nb  0.3326  0.6717  0.8102
O  0.1960  0.0576  0.5907
Nb  0.0055  0.0194  0.6427
O  0.3844  0.8560  0.8609
S  0.6998  0.7311  0.2505
S  0.7066  0.6367  0.5837
O  0.2694  0.8014  0.2579
O  0.2037  0.4806  0.2649
O  0.2769  0.4806  0.7649
O  0.0515  0.1906  0.1928
O  0.3245  0.4434  0.0682
O  0.8656  0.4774  0.4231
La  0.0156  0.0108  0.8668
O  0.1284  0.6643  0.4679
La  0.6671  0.3335  0.1996
O  0.4815  0.2900  0.0264
O  0.7816  0.9395  0.6986
O  0.1365  0.4658  0.9658
O  0.5120  0.8577  0.4737
O  0.9344  0.7979  0.0941
O  0.8276  0.5532  0.0318
S  0.6018  0.6365  0.9153
S  0.3636  0.0655  0.5820
Si  0.3762  0.3112  0.0834
S  0.0347  0.6365  0.4153
O  0.8923  0.3428  0.2342

Output
Calculated formation energy: -2.63 eV per atom

Entry 4:
A plane-wave DFT calculation with PBE was carried out for an optimized crystal structure of Sr3LaNb3O12.

Cell lengths 9.8051, 9.8051, 9.8051 Å; angles 33.99, 33.99, 33.99 degrees
Positions (direct):
O  0.4423  0.3131  0.8871
O  0.2925  0.7229  0.8620
Sr  0.7146  0.7146  0.7146
O  0.1539  0.7017  0.2589
La  0.2853  0.2853  0.2853
Sr  0.8590  0.8590  0.8590
O  0.2589  0.1539  0.7017
O  0.7017  0.2589  0.1539
Nb  0.4245  0.4245  0.4245
Nb  0.0013  0.0013  0.0013
Sr  0.1407  0.1407  0.1407
O  0.8620  0.2925  0.7229
O  0.8871  0.4423  0.3131
O  0.7229  0.8620  0.2925
Nb  0.5765  0.5765  0.5765
O  0.5544  0.6867  0.1226
O  0.1226  0.5544  0.6867
O  0.3131  0.8871  0.4423
O  0.6867  0.1226  0.5544

Output
Calculated formation energy: -3.37 eV per atom

Number 1: total magnetization 0.0 μB/f.u., uncorrected energy -8.522 eV/atom, corrected total energy (MP2020 scheme) -8.96 eV/atom. Number 2: total magnetization 0.0 μB/f.u., uncorrected energy -7.152 eV/atom, corrected total energy (MP2020 scheme) -7.64 eV/atom. Number 3: total magnetization 0.0 μB/f.u., uncorrected energy -7.325 eV/atom, corrected total energy (MP2020 scheme) -7.81 eV/atom. Number 4: total magnetization 0.0 μB/f.u., uncorrected energy -8.181 eV/atom, corrected total energy (MP2020 scheme) -8.62 eV/atom.